# 1
! GGA-PBE Eu5Ga9, optimized geometry; values from VASP
&SYSTEM
  ibrav = 0, nat = 28, ntyp = 2
/
ATOMIC_SPECIES
Eu 151.96 Eu.upf
Ga 69.72 Ga.upf
CELL_PARAMETERS angstrom
2.2965 -5.3907 0.0000
2.2965 5.3907 0.0000
0.0000 0.0000 25.6124
ATOMIC_POSITIONS crystal
Eu 0.6506 0.3494 0.9586
Eu 0.1282 0.8718 0.7500
Eu 0.3494 0.6506 0.4586
Eu 0.8436 0.1564 0.6672
Eu 0.1564 0.8436 0.1672
Eu 0.6506 0.3494 0.5414
Eu 0.3494 0.6506 0.0414
Eu 0.1564 0.8436 0.3328
Eu 0.8436 0.1564 0.8328
Eu 0.8718 0.1282 0.2500
Ga 0.5774 0.4226 0.2500
Ga 0.1342 0.8658 0.8769
Ga 0.3630 0.6370 0.9159
Ga 0.4555 0.5445 0.3392
Ga 0.9525 0.0475 0.5471
Ga 0.5445 0.4555 0.6608
Ga 0.6370 0.3630 0.4159
Ga 0.3630 0.6370 0.5841
Ga 0.0475 0.9525 0.4529
Ga 0.1342 0.8658 0.6231
Ga 0.9525 0.0475 0.9529
Ga 0.8658 0.1342 0.1231
Ga 0.8658 0.1342 0.3769
Ga 0.6370 0.3630 0.0841
Ga 0.4226 0.5774 0.7500
Ga 0.0475 0.9525 0.0471
Ga 0.5445 0.4555 0.8392
Ga 0.4555 0.5445 0.1608
! Calculated total energy   -6.16 eV per atom
! Total magnetic moment   2.487 μB/atom

# 2
! GGA-PBE EuGa2, optimized geometry; values from VASP
&SYSTEM
  ibrav = 0, nat = 3, ntyp = 2
/
ATOMIC_SPECIES
Ga 69.72 Ga.upf
Eu 151.96 Eu.upf
CELL_PARAMETERS angstrom
2.9802 0.5498 3.0960
-0.4300 -3.8533 -1.9330
3.0008 1.2232 -3.1058
ATOMIC_POSITIONS crystal
Ga 0.3333 0.6667 0.5000
Ga 0.6667 0.3333 0.5000
Eu 0.0000 0.0000 0.0000
! Calculated total energy   -5.97 eV per atom

# 3
! GGA-PBE Eu3Ga8, optimized geometry; values from VASP
&SYSTEM
  ibrav = 0, nat = 11, ntyp = 2
/
ATOMIC_SPECIES
Ga 69.72 Ga.upf
Eu 151.96 Eu.upf
CELL_PARAMETERS angstrom
-7.7727 8.7801 6.0540
-11.8412 4.9338 3.0985
9.7589 -8.6611 -1.9757
ATOMIC_POSITIONS crystal
Ga 0.7516 0.7516 0.0000
Ga 0.6925 0.1925 0.5000
Ga 0.3075 0.8075 0.5000
Ga 0.2484 0.2484 0.0000
Ga 0.4054 0.9054 0.5000
Ga 0.5946 0.0946 0.5000
Ga 0.5482 0.5482 0.0000
Ga 0.4518 0.4518 0.0000
Eu 0.1482 0.6482 0.5000
Eu 0.8518 0.3518 0.5000
Eu 0.0000 0.0000 0.0000
! Calculated total energy   -5.50 eV per atom
! Total magnetic moment   1.909 μB/atom

# 4
! GGA-PBE Eu3Ga4Ge6, optimized geometry; values from VASP
&SYSTEM
  ibrav = 0, nat = 26, ntyp = 3
/
ATOMIC_SPECIES
Ge 72.64 Ge.upf
Ga 69.72 Ga.upf
Eu 151.96 Eu.upf
CELL_PARAMETERS angstrom
2.2325 11.9239 0.0000
-2.2325 11.9239 0.0000
0.0000 0.2976 10.8517
ATOMIC_POSITIONS crystal
Ge 0.7715 0.7715 0.0211
Ge 0.0522 0.0522 0.9655
Ge 0.9478 0.9478 0.0345
Ge 0.7093 0.7093 0.6436
Ge 0.3962 0.3962 0.3625
Ge 0.6038 0.6038 0.6375
Ge 0.2907 0.2907 0.3564
Ge 0.2285 0.2285 0.9789
Ge 0.6520 0.6520 0.2366
Ge 0.3480 0.3480 0.7634
Ge 0.9751 0.9751 0.6029
Ge 0.0249 0.0249 0.3971
Ga 0.2402 0.2402 0.7425
Ga 0.1379 0.1379 0.1218
Ga 0.4237 0.4237 0.5832
Ga 0.5763 0.5763 0.4168
Ga 0.8621 0.8621 0.8782
Ga 0.7598 0.7598 0.2575
Ga 0.0663 0.0663 0.7259
Ga 0.9337 0.9337 0.2741
Eu 0.4770 0.4770 0.8316
Eu 0.3552 0.3552 0.1004
Eu 0.5230 0.5230 0.1684
Eu 0.1733 0.1733 0.4561
Eu 0.6448 0.6448 0.8996
Eu 0.8267 0.8267 0.5439
! Calculated total energy   -5.87 eV per atom
! Total magnetic moment   1.607 μB/atom

# 5
! GGA-PBE Eu2Ga2GeS7, optimized geometry; values from VASP
&SYSTEM
  ibrav = 0, nat = 24, ntyp = 4
/
ATOMIC_SPECIES
Ga 69.72 Ga.upf
S 32.06 S.upf
Eu 151.96 Eu.upf
Ge 72.64 Ge.upf
CELL_PARAMETERS angstrom
-0.3508 9.6369 -0.9959
-9.0263 -0.6871 -3.4695
-2.3075 0.5257 5.8991
ATOMIC_POSITIONS crystal
Ga 0.8532 0.3532 0.0305
Ga 0.6468 0.8532 0.9695
Ga 0.1468 0.6468 0.0305
Ga 0.3532 0.1468 0.9695
S 0.5811 0.6588 0.7736
S 0.0000 0.5000 0.2018
S 0.8412 0.9189 0.7736
S 0.5000 0.0000 0.7982
S 0.3412 0.5811 0.2264
S 0.1588 0.0811 0.7736
S 0.4189 0.3412 0.7736
S 0.6588 0.4189 0.2264
S 0.0811 0.8412 0.2264
S 0.9189 0.1588 0.2264
S 0.1454 0.6454 0.6837
S 0.8546 0.3546 0.6837
S 0.6454 0.8546 0.3163
S 0.3546 0.1454 0.3163
Eu 0.8469 0.6531 0.5165
Eu 0.1531 0.3469 0.5165
Eu 0.3469 0.8469 0.4835
Eu 0.6531 0.1531 0.4835
Ge 0.0000 0.0000 0.0000
Ge 0.5000 0.5000 0.0000
! Calculated total energy   -6.12 eV per atom
! Total magnetic moment   1.167 μB/atom
! MP2020-corrected energy   -6.410 eV per atom

# 6
! GGA-PBE Eu2Ga9Ir3, optimized geometry; values from VASP
&SYSTEM
  ibrav = 0, nat = 28, ntyp = 3
/
ATOMIC_SPECIES
Ga 69.72 Ga.upf
Eu 151.96 Eu.upf
Ir 192.22 Ir.upf
CELL_PARAMETERS angstrom
4.1842 6.2107 1.3775
-7.4729 0.7202 -1.2711
-1.7220 -0.9640 9.5772
ATOMIC_POSITIONS crystal
Ga 0.3348 0.0019 0.4255
Ga 0.3367 0.5441 0.2500
Ga 0.6657 0.6657 0.0579
Ga 0.3343 0.3343 0.9421
Ga 0.3343 0.3343 0.5579
Ga 0.1296 0.1296 0.2500
Ga 0.0019 0.3348 0.4255
Ga 0.6652 0.9981 0.5745
Ga 0.0019 0.3348 0.0745
Ga 0.9981 0.6652 0.5745
Ga 0.4559 0.6633 0.7500
Ga 0.6652 0.9981 0.9255
Ga 0.9981 0.6652 0.9255
Ga 0.8704 0.8704 0.7500
Ga 0.3348 0.0019 0.0745
Ga 0.6633 0.4559 0.7500
Ga 0.6657 0.6657 0.4421
Ga 0.5441 0.3367 0.2500
Eu 0.3306 0.0028 0.7500
Eu 0.9972 0.6694 0.2500
Eu 0.0028 0.3306 0.7500
Eu 0.6694 0.9972 0.2500
Ir 0.0000 0.0000 0.0000
Ir 0.3296 0.6704 0.0000
Ir 0.6704 0.3296 0.0000
Ir 0.6704 0.3296 0.5000
Ir 0.3296 0.6704 0.5000
Ir 0.0000 0.0000 0.5000
! Calculated total energy   -5.91 eV per atom

# 7
! GGA-PBE LiEu2Ga7, optimized geometry; values from VASP
&SYSTEM
  ibrav = 0, nat = 10, ntyp = 3
/
ATOMIC_SPECIES
Eu 151.96 Eu.upf
Ga 69.72 Ga.upf
Li 6.94 Li.upf
CELL_PARAMETERS angstrom
4.2976 0.0000 0.0000
0.0000 4.2976 0.0000
0.0000 0.0000 11.0410
ATOMIC_POSITIONS crystal
Eu 0.5000 0.0000 0.7465
Eu 0.0000 0.5000 0.2535
Ga 0.5000 0.0000 0.1329
Ga 0.0000 0.0000 0.5000
Ga 0.0000 0.5000 0.6398
Ga 0.5000 0.5000 0.0000
Ga 0.5000 0.5000 0.5000
Ga 0.5000 0.0000 0.3602
Ga 0.0000 0.5000 0.8671
Li 0.0000 0.0000 0.0000
! Calculated total energy   -4.82 eV per atom

# 8
! GGA-PBE Eu2MgGa3, optimized geometry; values from VASP
&SYSTEM
  ibrav = 0, nat = 6, ntyp = 3
/
ATOMIC_SPECIES
Ga 69.72 Ga.upf
Eu 151.96 Eu.upf
Mg 24.30 Mg.upf
CELL_PARAMETERS angstrom
2.3549 5.4720 0.0000
-2.3549 5.4720 0.0000
0.0000 5.2768 5.5433
ATOMIC_POSITIONS crystal
Ga 0.3413 0.3413 0.2153
Ga 0.6542 0.6542 0.7890
Ga 0.6692 0.6692 0.3977
Eu 0.9533 0.9533 0.7985
Eu 0.0458 0.0458 0.2017
Mg 0.3362 0.3362 0.5978
! Calculated total energy   -5.65 eV per atom
! Total magnetic moment   2.328 μB/atom

# 9
! GGA-PBE EuMg2Ga2, optimized geometry; values from VASP
&SYSTEM
  ibrav = 0, nat = 5, ntyp = 3
/
ATOMIC_SPECIES
Ga 69.72 Ga.upf
Mg 24.30 Mg.upf
Eu 151.96 Eu.upf
CELL_PARAMETERS angstrom
6.2401 -2.2991 -0.4556
5.3420 3.6500 1.6038
-5.9638 -1.7373 2.4180
ATOMIC_POSITIONS crystal
Ga 0.3934 0.3934 0.0000
Ga 0.6066 0.6066 0.0000
Mg 0.2500 0.7500 0.5000
Mg 0.7500 0.2500 0.5000
Eu 0.0000 0.0000 0.0000
! Calculated total energy   -4.26 eV per atom

# 10
! GGA-PBE Eu2NbGaO7, optimized geometry; values from VASP
&SYSTEM
  ibrav = 0, nat = 22, ntyp = 4
/
ATOMIC_SPECIES
O 16.00 O.upf
Eu 151.96 Eu.upf
Ga 69.72 Ga.upf
Nb 92.91 Nb.upf
CELL_PARAMETERS angstrom
2.3641 -6.9659 -0.7796
-1.8087 3.8760 -5.9185
6.7214 -1.4057 -2.9747
ATOMIC_POSITIONS crystal
O 0.2496 0.9233 0.9232
O 0.8473 0.9237 0.3263
O 0.7497 0.3749 0.3751
O 0.3381 0.6691 0.0809
O 0.6619 0.3309 0.9191
O 0.2496 0.9233 0.3272
O 0.2503 0.6251 0.6249
O 0.2496 0.3264 0.3272
O 0.7504 0.0767 0.6728
O 0.7504 0.0767 0.0768
O 0.7504 0.6736 0.0768
O 0.1527 0.0763 0.6737
O 0.2496 0.3264 0.9232
O 0.7504 0.6736 0.6728
Eu 0.5000 0.0000 0.5000
Eu 0.0000 0.5000 0.0000
Eu 0.0000 0.5000 0.5000
Eu 0.5000 0.5000 0.5000
Ga 0.5000 0.0000 0.0000
Ga 0.5000 0.5000 0.0000
Nb 0.0000 0.0000 0.0000
Nb 0.0000 0.0000 0.5000
! Calculated total energy   -8.74 eV per atom
! Total magnetic moment   1.091 μB/atom
! MP2020-corrected energy   -9.180 eV per atom

# 11
! GGA-PBE EuNbGaSnO6, optimized geometry; values from VASP
&SYSTEM
  ibrav = 0, nat = 10, ntyp = 5
/
ATOMIC_SPECIES
Ga 69.72 Ga.upf
O 16.00 O.upf
Sn 118.71 Sn.upf
Eu 151.96 Eu.upf
Nb 92.91 Nb.upf
CELL_PARAMETERS angstrom
0.0000 -3.9978 -3.9978
3.9978 0.0000 -3.9978
3.9978 -3.9978 0.0000
ATOMIC_POSITIONS crystal
Ga 0.0000 0.0000 0.0000
O 0.7516 0.2484 0.2484
O 0.7516 0.7516 0.2484
O 0.2484 0.2484 0.7516
O 0.2484 0.7516 0.2484
O 0.7516 0.2484 0.7516
O 0.2484 0.7516 0.7516
Sn 0.7500 0.7500 0.7500
Eu 0.2500 0.2500 0.2500
Nb 0.5000 0.5000 0.5000
! Calculated total energy   -7.86 eV per atom
! Total magnetic moment   0.700 μB/atom
! MP2020-corrected energy   -8.272 eV per atom

# 12
! GGA-PBE SrEuNbGaO6, optimized geometry; values from VASP
&SYSTEM
  ibrav = 0, nat = 10, ntyp = 5
/
ATOMIC_SPECIES
Ga 69.72 Ga.upf
O 16.00 O.upf
Eu 151.96 Eu.upf
Sr 87.62 Sr.upf
Nb 92.91 Nb.upf
CELL_PARAMETERS angstrom
0.0000 -3.9958 -3.9958
3.9958 0.0000 -3.9958
3.9958 -3.9958 0.0000
ATOMIC_POSITIONS crystal
Ga 0.0000 0.0000 0.0000
O 0.7514 0.2486 0.2486
O 0.7514 0.7514 0.2486
O 0.2486 0.7514 0.7514
O 0.7514 0.2486 0.7514
O 0.2486 0.2486 0.7514
O 0.2486 0.7514 0.2486
Eu 0.7500 0.7500 0.7500
Sr 0.2500 0.2500 0.2500
Nb 0.5000 0.5000 0.5000
! Calculated total energy   -8.10 eV per atom
! Total magnetic moment   0.700 μB/atom
! MP2020-corrected energy   -8.512 eV per atom

Question: Which of these has the lowest calculated total energy?
Answer: Eu2NbGaO7